# 1
This record from Materials Project describes a relaxed structure of Li4CrFe3O8. The functional is PBE+U.

Cell lengths 5.188, 7.879, 7.879 Å; angles 81.79, 70.99, 83.76 degrees
Space group P-1 (No. 2)
Symmetry-distinct sites (fractional):
Li 0.000 0.000 0.000 (multiplicity 1)
Li 0.000 0.126 0.625 (multiplicity 2)
Li 0.000 0.500 0.500 (multiplicity 1)
Li 0.001 0.375 0.875 (multiplicity 2)
Li 0.001 0.750 0.750 (multiplicity 2)
Cr 0.500 0.313 0.562 (multiplicity 2)
Fe 0.500 0.062 0.313 (multiplicity 2)
Fe 0.500 0.188 0.937 (multiplicity 2)
Fe 0.500 0.437 0.188 (multiplicity 2)
O 0.270 0.406 0.028 (multiplicity 2)
O 0.271 0.031 0.152 (multiplicity 2)
O 0.271 0.781 0.902 (multiplicity 2)
O 0.273 0.157 0.775 (multiplicity 2)
O 0.273 0.903 0.526 (multiplicity 2)
O 0.274 0.280 0.403 (multiplicity 2)
O 0.275 0.530 0.650 (multiplicity 2)
O 0.275 0.655 0.278 (multiplicity 2)

total moment: 36.01 μB/cell
formation energy from the elements: -2.0573 eV/atom
E_tot: -6.308 eV per atom
MP2020-corrected energy: -7.1999 eV/atom


# 2
This record from Materials Project describes a relaxed structure of Li6V2OF11. The functional is PBE+U.

Cell lengths 5.124, 8.800, 9.773 Å; angles 107.72, 90.26, 90.63 degrees
Space group P1 (No. 1)
Symmetry-distinct sites (fractional):
Li 0.000 0.000 0.000 (multiplicity 1)
Li 0.001 0.637 0.920 (multiplicity 1)
Li 0.005 0.361 0.148 (multiplicity 1)
Li 0.024 0.236 0.724 (multiplicity 1)
Li 0.029 0.120 0.421 (multiplicity 1)
Li 0.496 0.719 0.730 (multiplicity 1)
Li 0.501 0.000 0.500 (multiplicity 1)
Li 0.502 0.639 0.421 (multiplicity 1)
Li 0.505 0.361 0.649 (multiplicity 1)
Li 0.522 0.237 0.224 (multiplicity 1)
Li 0.527 0.121 0.922 (multiplicity 1)
Li 0.994 0.718 0.230 (multiplicity 1)
V 0.010 0.475 0.462 (multiplicity 1)
V 0.495 0.870 0.180 (multiplicity 1)
V 0.509 0.477 0.963 (multiplicity 1)
V 0.994 0.870 0.680 (multiplicity 1)
O 0.360 0.690 0.079 (multiplicity 1)
O 0.854 0.692 0.580 (multiplicity 1)
F 0.151 0.067 0.817 (multiplicity 1)
F 0.155 0.778 0.820 (multiplicity 1)
F 0.157 0.278 0.324 (multiplicity 1)
F 0.157 0.582 0.329 (multiplicity 1)
F 0.199 0.440 0.836 (multiplicity 1)
F 0.201 0.920 0.313 (multiplicity 1)
F 0.300 0.180 0.573 (multiplicity 1)
F 0.329 0.840 0.581 (multiplicity 1)
F 0.343 0.525 0.571 (multiplicity 1)
F 0.354 0.343 0.068 (multiplicity 1)
F 0.357 0.012 0.079 (multiplicity 1)
F 0.651 0.067 0.316 (multiplicity 1)
F 0.656 0.280 0.826 (multiplicity 1)
F 0.656 0.778 0.321 (multiplicity 1)
F 0.657 0.582 0.828 (multiplicity 1)
F 0.700 0.440 0.336 (multiplicity 1)
F 0.702 0.922 0.814 (multiplicity 1)
F 0.799 0.180 0.073 (multiplicity 1)
F 0.830 0.840 0.080 (multiplicity 1)
F 0.844 0.526 0.071 (multiplicity 1)
F 0.854 0.342 0.568 (multiplicity 1)
F 0.857 0.012 0.581 (multiplicity 1)

total moment: 0.00 μB/cell
formation energy from the elements: -3.1197 eV/atom
E_tot: -5.443 eV per atom
MP2020-corrected energy: -5.9012 eV/atom


# 3
This record from Materials Project describes a relaxed structure of CsSmW2O8. The functional is PBE+U.

Cell lengths 11.008, 10.904, 7.595 Å; angles 90.00, 129.74, 90.00 degrees
Space group C2/c (No. 15)
Symmetry-distinct sites (fractional):
Cs 0.000 0.198 0.250 (multiplicity 4)
Sm 0.000 0.224 0.750 (multiplicity 4)
W 0.191 0.494 0.718 (multiplicity 8)
O 0.021 0.392 0.969 (multiplicity 8)
O 0.137 0.081 0.699 (multiplicity 8)
O 0.184 0.437 0.435 (multiplicity 8)
O 0.223 0.155 0.131 (multiplicity 8)

total moment: 0.00 μB/cell
formation energy from the elements: -2.6393 eV/atom
E_tot: -7.368 eV per atom
MP2020-corrected energy: -8.5654 eV/atom


# 4
This record from Materials Project describes a relaxed structure of MgTiV4CoO12. The functional is PBE+U.

Cell lengths 11.188, 8.753, 5.429 Å; angles 90.00, 114.23, 90.00 degrees
Space group C2 (No. 5)
Symmetry-distinct sites (fractional):
Mg 0.000 0.000 0.000 (multiplicity 2)
Ti 0.000 0.198 0.500 (multiplicity 2)
V 0.208 0.683 0.986 (multiplicity 4)
V 0.231 0.893 0.539 (multiplicity 4)
Co 0.000 0.370 0.000 (multiplicity 2)
O 0.093 0.356 0.397 (multiplicity 4)
O 0.101 0.047 0.411 (multiplicity 4)
O 0.117 0.185 0.903 (multiplicity 4)
O 0.151 0.830 0.131 (multiplicity 4)
O 0.153 0.718 0.645 (multiplicity 4)
O 0.166 0.505 0.067 (multiplicity 4)

total moment: 10.00 μB/cell
formation energy from the elements: -2.4475 eV/atom
E_tot: -7.481 eV per atom
MP2020-corrected energy: -8.3589 eV/atom


# 5
This record from Materials Project describes a relaxed structure of Li4V3P8O29. The functional is PBE+U.

Cell lengths 16.930, 9.806, 13.977 Å; angles 90.00, 90.40, 90.00 degrees
Space group Cc (No. 9)
Symmetry-distinct sites (fractional):
Li 0.000 0.064 0.000 (multiplicity 4)
Li 0.113 0.277 0.121 (multiplicity 4)
Li 0.277 0.208 0.998 (multiplicity 4)
Li 0.321 0.072 0.620 (multiplicity 4)
V 0.164 0.435 0.314 (multiplicity 4)
V 0.378 0.217 0.810 (multiplicity 4)
V 0.447 0.280 0.303 (multiplicity 4)
P 0.002 0.072 0.217 (multiplicity 4)
P 0.047 0.201 0.401 (multiplicity 4)
P 0.118 0.273 0.901 (multiplicity 4)
P 0.203 0.272 0.714 (multiplicity 4)
P 0.276 0.202 0.219 (multiplicity 4)
P 0.321 0.073 0.403 (multiplicity 4)
P 0.331 0.500 0.432 (multiplicity 4)
P 0.495 0.004 0.686 (multiplicity 4)
O 0.034 0.210 0.899 (multiplicity 4)
O 0.041 0.118 0.126 (multiplicity 4)
O 0.044 0.114 0.486 (multiplicity 4)
O 0.060 0.108 0.306 (multiplicity 4)
O 0.070 0.421 0.228 (multiplicity 4)
O 0.113 0.430 0.883 (multiplicity 4)
O 0.119 0.301 0.394 (multiplicity 4)
O 0.160 0.236 0.628 (multiplicity 4)
O 0.161 0.243 0.993 (multiplicity 4)
O 0.163 0.209 0.812 (multiplicity 4)
O 0.203 0.297 0.219 (multiplicity 4)
O 0.208 0.429 0.739 (multiplicity 4)
O 0.255 0.425 0.385 (multiplicity 4)
O 0.266 0.106 0.310 (multiplicity 4)
O 0.282 0.121 0.129 (multiplicity 4)
O 0.285 0.119 0.494 (multiplicity 4)
O 0.289 0.212 0.722 (multiplicity 4)
O 0.325 0.350 0.893 (multiplicity 4)
O 0.328 0.500 0.038 (multiplicity 4)
O 0.330 0.085 0.899 (multiplicity 4)
O 0.352 0.289 0.236 (multiplicity 4)
O 0.401 0.144 0.380 (multiplicity 4)
O 0.405 0.426 0.390 (multiplicity 4)
O 0.418 0.070 0.726 (multiplicity 4)
O 0.422 0.361 0.734 (multiplicity 4)
O 0.471 0.215 0.883 (multiplicity 4)
O 0.491 0.414 0.225 (multiplicity 4)
O 0.494 0.001 0.080 (multiplicity 4)
O 0.495 0.148 0.233 (multiplicity 4)

total moment: 4.00 μB/cell
formation energy from the elements: -2.5639 eV/atom
E_tot: -7.033 eV per atom
MP2020-corrected energy: -7.6021 eV/atom


Q: Number 2 is which compound?
A: Li6V2OF11


Q: Among the records above, which one has the highest formation energy from the elements?
A: Li4CrFe3O8


Q: The highest total moment belongs to which entry?
A: Li4CrFe3O8


Q: Number 5 is which compound?
A: Li4V3P8O29